The following is a DFT calculation (PBE) of a relaxed K4Cu4Cl10O crystal.

```
38
Lattice="-10.054 3.090 -1.113 -3.027 -10.128 0.380 -2.764 -0.500 8.587" Properties=species:S:1:pos:R:3 pbc="T T T"
Cl -9.147 -9.169 6.599
Cl -10.596 2.684 1.066
Cl -6.698 1.632 1.256
Cl -6.445 -7.716 3.599
Cl -4.164 -6.821 0.781
Cl -7.994 -5.059 6.205
Cl -4.924 -2.718 8.172
Cl -11.911 -1.121 1.424
Cl -7.851 -2.479 1.649
Cl -11.464 -6.648 4.154
Cl -4.381 -0.889 3.700
Cl -9.400 0.178 4.256
Cl -3.934 -6.417 6.430
Cl -5.249 -10.222 6.788
Cl -11.681 -0.716 7.074
Cl -10.390 -3.094 3.824
Cl -5.455 -4.443 4.030
Cl -8.477 -1.609 7.976
Cl -10.921 -4.820 -0.318
Cl -7.368 -5.929 -0.121
K -2.901 -3.123 5.434
K -7.104 -1.940 5.083
K -12.943 -4.415 2.420
K -12.525 -8.052 7.096
K -3.320 0.514 0.758
K -8.741 -5.597 2.771
K -11.160 -3.898 6.844
K -4.685 -3.640 1.010
Cu -5.980 -6.163 5.379
Cu -5.257 -8.074 7.840
Cu -10.588 0.537 0.014
Cu -8.935 1.693 2.472
Cu -7.546 -0.369 0.460
Cu -9.865 -1.374 2.475
Cu -6.910 -9.231 5.383
Cu -8.299 -7.168 7.394
O -9.206 0.070 1.361
O -6.639 -7.607 6.493
```

Output
- Calculated total energy: -3.469 eV/atom
- SG: C2/c
- ΔE_f: -1175 meV per atom
- Volume: 979 Å³/cell

***

The following is a DFT calculation (PBE) of a relaxed K8Cu9S8Cl2O36 crystal.

```
63
Lattice="-9.540 -1.852 1.801 -0.134 5.663 -8.446 2.938 -7.718 -5.942" Properties=species:S:1:pos:R:3 pbc="T T T"
S -5.226 -5.733 -6.004
S -4.083 -1.910 -9.580
S -6.440 0.868 -5.651
S 0.685 -0.973 -10.470
S -2.815 -2.041 -2.987
S -1.671 1.788 -6.541
S -7.585 -2.954 -2.077
S -0.461 -4.799 -6.916
O -3.468 -0.783 -3.424
O -5.166 -7.202 -6.097
O 0.225 -1.286 -6.960
O -6.386 -5.221 -6.841
O -0.398 -6.256 -7.019
O -4.563 -1.871 -10.972
O -1.397 -2.108 -3.535
O -2.111 3.170 -6.368
O -4.559 -2.167 -6.081
O 0.734 -2.348 -9.919
O -5.382 -5.256 -4.612
O 0.830 -4.254 -7.514
O -3.943 -5.196 -6.608
O -7.462 -2.210 -8.651
O -2.179 0.930 -5.390
O -4.924 0.876 -5.577
O 0.213 -0.922 -11.853
O -2.162 -1.716 -6.509
O -2.718 -2.164 -1.533
O 1.178 -2.283 -4.431
O -4.987 -1.052 -8.711
O -6.956 0.031 -4.496
O -2.700 -1.291 -9.568
O -6.885 2.263 -5.488
O -8.233 -1.696 -2.511
O -3.585 -3.221 -3.562
O -6.943 -2.659 -5.637
O -2.120 1.187 -7.821
O -6.170 -3.033 -2.619
O -4.040 -3.284 -9.030
O -6.890 0.273 -6.929
O -0.613 -4.318 -5.522
O -0.152 1.788 -6.474
O -7.494 -3.069 -0.611
O -0.205 -0.116 -9.581
O -1.614 -4.265 -7.754
Cu -6.084 -1.934 -7.247
Cu -5.369 -2.893 -4.450
Cu -8.292 -1.459 -4.867
Cu -3.515 -0.532 -5.764
Cu -3.167 -3.362 -6.831
Cu 1.600 -2.437 -7.729
Cu -1.315 -0.997 -8.146
Cu -7.399 -1.436 1.396
Cu -0.604 -1.967 -5.349
Cl -2.346 -8.744 -4.945
Cl -9.649 3.815 -6.650
K -5.681 0.173 -1.927
K -2.316 -5.774 -3.780
K -4.728 1.811 -8.747
K -1.362 -4.142 -10.600
K -0.970 1.092 -2.822
K -0.014 2.719 -9.640
K -7.143 -6.713 -2.868
K -6.187 -5.080 -9.690
```

Output
- Calculated total energy: -5.496 eV/atom
- SG: P1
- ΔE_f: -1751 meV per atom
- Volume: 962 Å³/cell

***

The following is a DFT calculation (PBE) of a relaxed K2SmCuCl6 crystal.

```
10
Lattice="3.266 -6.508 -1.308 -3.220 -6.271 2.243 -2.890 -4.656 -4.969" Properties=species:S:1:pos:R:3 pbc="T T T"
Cu -1.422 -8.718 -2.017
Cl -0.549 -9.907 -4.087
Cl 0.856 -7.644 -1.673
Cl -2.136 -6.744 -3.452
Cl -2.296 -7.529 0.053
Cl -3.700 -9.792 -2.362
Cl -0.709 -10.691 -0.583
Sm 0.000 0.000 0.000
K -2.133 -13.077 -3.026
K -0.711 -4.359 -1.009
```

Output
- Calculated total energy: -3.938 eV/atom
- SG: Fm-3m
- ΔE_f: -2093 meV per atom
- Volume: 286 Å³/cell

***

The following is a DFT calculation (PBE) of a relaxed K2TaCuCl6 crystal.

```
10
Lattice="-0.487 5.243 -4.758 1.297 -1.297 -6.856 -5.326 0.051 -4.691" Properties=species:S:1:pos:R:3 pbc="T T T"
Cl -1.381 3.605 -6.472
Cl -0.739 2.963 -9.866
Cl -0.498 0.367 -7.510
Cl -3.135 0.392 -9.833
Cl -4.018 3.631 -8.794
Cl -3.777 1.035 -6.438
Ta -2.258 1.999 -8.152
K -1.129 0.999 -4.076
K -3.387 2.998 -12.229
Cu 0.000 0.000 0.000
```

Output
- Calculated total energy: -4.128 eV/atom
- SG: Fm-3m
- ΔE_f: -1570 meV per atom
- Volume: 253 Å³/cell

***

The following is a DFT calculation (PBE) of a relaxed K2TbCuCl6 crystal.

```
10
Lattice="3.494 -3.104 5.650 1.189 3.840 6.133 -3.677 -1.646 6.127" Properties=species:S:1:pos:R:3 pbc="T T T"
Cu 0.503 -0.455 8.955
Cl -0.964 0.845 10.576
Cl 1.970 -1.754 7.334
Cl 0.166 -2.562 10.340
Cl 0.839 1.652 7.571
Cl 2.553 0.129 10.342
Cl -1.547 -1.039 7.568
K 0.251 -0.227 4.478
K 0.754 -0.682 13.433
Tb 0.000 0.000 0.000
```

Output
- Calculated total energy: -3.943 eV/atom
- SG: Fm-3m
- ΔE_f: -2107 meV per atom
- Volume: 279 Å³/cell

***

The following is a DFT calculation (PBE) of a relaxed LaMgNb2CuClO7 crystal.

```
13
Lattice="4.073 0.000 0.000 0.000 4.073 0.000 0.000 0.000 11.766" Properties=species:S:1:pos:R:3 pbc="T T T"
O 4.073 2.037 1.775
O 2.037 4.073 1.775
O 0.000 2.037 9.680
O 2.037 2.037 11.710
O 2.037 2.037 4.053
O 2.037 2.037 7.765
O 2.037 0.000 9.680
Cu 2.037 2.037 5.896
Nb 2.037 2.037 9.643
Nb 2.037 2.037 2.268
Mg 4.073 4.073 8.364
Cl 0.000 0.000 6.080
La 4.073 4.073 0.342
```

Output
- Calculated total energy: -7.445 eV/atom
- SG: P4mm
- ΔE_f: -2636 meV per atom
- Volume: 195 Å³/cell
- Relative energy among the computed polymorphs: 0.091 eV per atom